CoW6Cl14 | the Materials Project | PBE-GGA | optimized geometry; spin magnetization = 3.00 μB/f.u.; uncorrected energy = -5.98 eV per atom
1.0
12.779 0.000 0.000
0.000 12.779 0.000
0.000 0.000 12.779
W Cl Co
24 56 4
Direct
0.223 0.727 0.891
0.227 0.609 0.723
0.391 0.277 0.227
0.723 0.227 0.609
0.273 0.109 0.223
0.109 0.223 0.273
0.891 0.777 0.273
0.609 0.723 0.227
0.723 0.773 0.391
0.727 0.109 0.777
0.609 0.277 0.773
0.227 0.391 0.277
0.773 0.609 0.277
0.223 0.273 0.109
0.109 0.777 0.727
0.773 0.391 0.723
0.277 0.227 0.391
0.777 0.273 0.891
0.391 0.723 0.773
0.277 0.773 0.609
0.273 0.891 0.777
0.777 0.727 0.109
0.727 0.891 0.223
0.891 0.223 0.727
0.620 0.164 0.932
0.690 0.078 0.181
0.922 0.181 0.310
0.836 0.068 0.620
0.422 0.681 0.190
0.380 0.164 0.068
0.190 0.422 0.681
0.810 0.422 0.319
0.810 0.578 0.681
0.819 0.310 0.078
0.880 0.664 0.432
0.111 0.111 0.111
0.319 0.810 0.422
0.389 0.611 0.611
0.836 0.932 0.380
0.611 0.389 0.611
0.389 0.389 0.389
0.578 0.681 0.810
0.578 0.319 0.190
0.190 0.578 0.319
0.120 0.336 0.432
0.568 0.120 0.664
0.819 0.690 0.922
0.611 0.611 0.389
0.681 0.810 0.578
0.181 0.690 0.078
0.664 0.568 0.120
0.111 0.889 0.889
0.068 0.380 0.164
0.078 0.181 0.690
0.164 0.932 0.620
0.932 0.380 0.836
0.880 0.336 0.568
0.422 0.319 0.810
0.432 0.880 0.664
0.568 0.880 0.336
0.690 0.922 0.819
0.681 0.190 0.422
0.319 0.190 0.578
0.889 0.889 0.111
0.432 0.120 0.336
0.664 0.432 0.880
0.120 0.664 0.568
0.380 0.836 0.932
0.889 0.111 0.889
0.310 0.078 0.819
0.932 0.620 0.164
0.310 0.922 0.181
0.336 0.568 0.880
0.078 0.819 0.310
0.068 0.620 0.836
0.181 0.310 0.922
0.620 0.836 0.068
0.922 0.819 0.690
0.164 0.068 0.380
0.336 0.432 0.120
0.750 0.750 0.750
0.750 0.250 0.250
0.250 0.250 0.750
0.250 0.750 0.250

=====

Zr6CoCl15 | the Materials Project | PBE-GGA | optimized geometry; uncorrected energy = -5.59 eV per atom
1.0
-5.203 5.203 5.203
5.203 -5.203 5.203
5.203 5.203 -5.203
Cl Co Zr
15 1 6
Direct
0.491 0.245 0.245
0.509 0.755 0.755
0.245 0.000 0.755
0.755 0.509 0.755
0.000 0.245 0.755
0.245 0.755 0.000
0.500 0.000 0.500
0.755 0.000 0.245
0.755 0.755 0.509
0.000 0.500 0.500
0.245 0.245 0.491
0.245 0.491 0.245
0.755 0.245 0.000
0.500 0.500 0.000
0.000 0.755 0.245
0.000 0.000 0.000
0.762 0.762 0.000
0.000 0.762 0.762
0.762 0.000 0.762
0.238 0.000 0.238
0.238 0.238 0.000
0.000 0.238 0.238

=====

CrCl3 | the Materials Project | PBE-GGA | optimized geometry; spin magnetization = 3.00 μB/f.u.; uncorrected energy = -4.63 eV per atom
1.0
9.170 5.964 0.000
-9.170 5.964 0.000
0.000 5.062 5.921
Cl Cr
18 6
Direct
0.828 0.828 0.183
0.960 0.621 0.211
0.172 0.172 0.817
0.379 0.040 0.789
0.113 0.915 0.290
0.915 0.113 0.290
0.687 0.320 0.736
0.481 0.481 0.712
0.519 0.519 0.288
0.040 0.379 0.789
0.680 0.313 0.264
0.253 0.253 0.293
0.313 0.680 0.264
0.887 0.085 0.710
0.747 0.747 0.707
0.085 0.887 0.710
0.621 0.960 0.211
0.320 0.687 0.736
0.500 0.500 0.000
0.000 0.000 0.500
0.094 0.906 0.000
0.624 0.376 0.500
0.906 0.094 0.000
0.376 0.624 0.500

=====

CrCl3 | the Materials Project | PBE-GGA | optimized geometry; uncorrected energy = -4.93 eV per atom
1.0
3.035 -5.257 0.000
3.035 5.257 0.000
0.000 0.000 19.682
Cl Cr
18 6
Direct
0.528 0.444 0.068
0.889 0.805 0.932
0.889 0.084 0.068
0.916 0.472 0.401
0.556 0.472 0.265
0.250 0.805 0.068
0.195 0.750 0.265
0.195 0.444 0.735
0.528 0.084 0.932
0.556 0.805 0.599
0.195 0.111 0.401
0.556 0.084 0.735
0.556 0.750 0.401
0.195 0.084 0.599
0.916 0.805 0.735
0.916 0.444 0.599
0.916 0.111 0.265
0.250 0.444 0.932
0.889 0.111 0.667
0.555 0.778 0.000
0.222 0.778 0.667
0.889 0.778 0.333
0.222 0.445 0.333
0.222 0.111 0.000

=====

CrCl3 | the Materials Project | PBE-GGA | optimized geometry; uncorrected energy = -4.93 eV per atom
1.0
-5.248 -3.030 0.000
5.248 -3.030 0.000
0.000 1.966 6.280
Cr Cl
2 6
Direct
0.833 0.167 0.000
0.167 0.833 0.000
0.431 0.072 0.788
0.791 0.791 0.787
0.928 0.569 0.212
0.072 0.431 0.788
0.569 0.928 0.212
0.209 0.209 0.213

=====

CrCl | the Materials Project | PBE-GGA | optimized geometry; spin magnetization = 5.00 μB/f.u.; uncorrected energy = -5.73 eV per atom
1.0
-2.042 3.539 -0.455
0.446 -2.542 -3.200
-5.910 -3.191 1.710
Cl Cr
2 2
Direct
0.333 0.667 0.004
0.667 0.333 0.504
0.667 0.333 0.871
0.333 0.667 0.371

=====

CrCl3 | the Materials Project | PBE-GGA | optimized geometry; spin magnetization = 3.00 μB/f.u.; uncorrected energy = -4.61 eV per atom
1.0
-7.368 -2.321 7.141
9.352 -3.956 2.750
2.116 2.975 6.950
Cl Cr
18 6
Direct
0.083 0.874 0.324
0.253 0.607 0.346
0.126 0.917 0.676
0.640 0.017 0.125
0.393 0.747 0.654
0.466 0.466 0.723
0.917 0.126 0.676
0.740 0.740 0.742
0.747 0.393 0.654
0.843 0.843 0.130
0.983 0.360 0.875
0.157 0.157 0.870
0.360 0.983 0.875
0.017 0.640 0.125
0.607 0.253 0.346
0.534 0.534 0.277
0.260 0.260 0.258
0.874 0.083 0.324
0.390 0.610 0.500
0.610 0.390 0.500
0.105 0.895 0.000
0.000 0.000 0.500
0.500 0.500 0.000
0.895 0.105 0.000

=====

CrCl3 | the Materials Project | PBE-GGA | optimized geometry; uncorrected energy = -4.93 eV per atom
1.0
1.311 3.023 -5.069
1.311 -3.023 -5.069
-5.660 0.000 -5.069
Cl Cr
6 2
Direct
0.577 0.934 0.197
0.291 0.577 0.197
0.423 0.066 0.803
0.066 0.709 0.803
0.934 0.291 0.197
0.709 0.423 0.803
0.667 0.667 0.000
0.333 0.333 0.000

=====

CrCl2 | the Materials Project | PBE-GGA | optimized geometry; spin magnetization = 4.00 μB/f.u.; uncorrected energy = -5.39 eV per atom
1.0
-0.396 3.292 -1.085
0.831 -1.822 -5.831
-6.821 -1.035 -0.648
Cl Cr
4 2
Direct
0.500 0.214 0.863
0.000 0.286 0.363
0.000 0.714 0.637
0.500 0.786 0.137
0.500 0.500 0.500
0.000 0.000 0.000

=====

CsCrCl3 | the Materials Project | PBE-GGA | optimized geometry; uncorrected energy = -4.61 eV per atom
1.0
3.683 6.442 0.000
-3.683 6.442 0.000
0.000 0.150 6.315
Cl Cr Cs
6 2 2
Direct
0.304 0.846 0.769
0.154 0.696 0.231
0.846 0.304 0.769
0.842 0.842 0.706
0.696 0.154 0.231
0.158 0.158 0.294
0.000 0.000 0.000
0.000 0.000 0.500
0.333 0.333 0.747
0.667 0.667 0.253

=====

Cs3Cr2Cl9 | the Materials Project | PBE-GGA | optimized geometry; uncorrected energy = -4.32 eV per atom
1.0
0.342 5.482 -5.024
-5.469 -0.085 5.049
10.492 9.914 11.532
Cs Cl Cr
6 18 4
Direct
0.000 0.000 0.250
0.333 0.667 0.427
0.667 0.333 0.927
0.000 0.000 0.750
0.333 0.667 0.073
0.667 0.333 0.573
0.367 0.184 0.404
0.477 0.954 0.750
0.633 0.816 0.596
0.184 0.367 0.596
0.184 0.816 0.596
0.046 0.523 0.750
0.954 0.477 0.250
0.816 0.633 0.096
0.816 0.633 0.404
0.523 0.046 0.250
0.367 0.184 0.096
0.816 0.184 0.096
0.816 0.184 0.404
0.184 0.816 0.904
0.477 0.523 0.750
0.633 0.816 0.904
0.184 0.367 0.904
0.523 0.477 0.250
0.333 0.667 0.837
0.667 0.333 0.163
0.667 0.333 0.337
0.333 0.667 0.663

=====

Cs2CrCl4 | the Materials Project | PBE-GGA | optimized geometry; uncorrected energy = -4.26 eV per atom
1.0
5.167 0.000 0.000
0.000 5.167 0.000
-2.583 -2.583 8.452
Cl Cr Cs
4 1 2
Direct
0.000 0.500 0.000
0.500 0.000 0.000
0.855 0.855 0.710
0.145 0.145 0.290
0.000 0.000 0.000
0.642 0.642 0.284
0.358 0.358 0.716

=====

CsCrCl3 | the Materials Project | PBE-GGA | optimized geometry; spin magnetization = 4.01 μB/f.u.; uncorrected energy = -4.60 eV per atom
1.0
3.692 -6.395 0.000
3.692 6.395 0.000
0.000 0.000 6.191
Cl Cs Cr
6 2 2
Direct
0.691 0.846 0.270
0.309 0.154 0.770
0.154 0.846 0.270
0.154 0.309 0.270
0.846 0.691 0.770
0.846 0.154 0.770
0.333 0.667 0.754
0.667 0.333 0.254
0.000 0.000 0.520
0.000 0.000 0.020

=====

CsCrCl3 | the Materials Project | PBE-GGA | optimized geometry; spin magnetization = 4.00 μB/f.u.; uncorrected energy = -4.60 eV per atom
1.0
-4.800 5.270 1.968
-1.383 -7.071 1.667
2.959 0.688 5.374
Cs Cl Cr
2 6 2
Direct
0.333 0.667 0.750
0.667 0.333 0.250
0.309 0.154 0.750
0.154 0.846 0.250
0.691 0.846 0.250
0.846 0.691 0.750
0.154 0.309 0.250
0.846 0.154 0.750
0.000 0.000 0.500
0.000 0.000 0.000

=====

Cs2NaCrCl6 | the Materials Project | PBE-GGA | optimized geometry; spin magnetization = 3.00 μB/f.u.; uncorrected energy = -4.03 eV per atom
1.0
0.000 5.235 5.235
5.235 0.000 5.235
5.235 5.235 0.000
Cl Cs Cr Na
6 2 1 1
Direct
0.772 0.228 0.772
0.228 0.772 0.772
0.228 0.228 0.772
0.772 0.772 0.228
0.228 0.772 0.228
0.772 0.228 0.228
0.250 0.250 0.250
0.750 0.750 0.750
0.000 0.000 0.000
0.500 0.500 0.500

=====

CrHgN6Cl5 | the Materials Project | PBE-GGA | optimized geometry; spin magnetization = 1.00 μB/f.u.; uncorrected energy = -4.83 eV per atom
1.0
2.844 -0.247 -8.098
-0.895 7.482 -7.964
7.352 6.840 -1.948
N Cl Cr Hg
12 10 2 2
Direct
0.517 0.326 0.387
0.126 0.963 0.136
0.111 0.677 0.024
0.690 0.637 0.431
0.626 0.276 0.636
0.354 0.649 0.352
0.731 0.274 0.123
0.017 0.270 0.887
0.190 0.741 0.931
0.231 0.372 0.623
0.854 0.144 0.852
0.611 0.688 0.524
0.284 0.326 0.006
0.764 0.972 0.153
0.191 0.111 0.535
0.664 0.314 0.758
0.784 0.884 0.506
0.691 0.663 0.035
0.164 0.764 0.258
0.231 0.207 0.784
0.731 0.278 0.284
0.264 0.611 0.653
0.412 0.423 0.530
0.912 0.135 0.030
0.773 0.751 0.772
0.273 0.204 0.272

=====

Computed formation energy from the elements (eV/atom) in order:
-1.114 -2.094 -1.292 -1.593 -1.593 -0.284 -1.271 -1.594 -1.347 -1.760 -1.958 -1.920 -1.748 -1.748 -2.011 0.259